Entry 1:
KFeBr4: optimized geometry, r²SCAN.

a b c (Å): 7.7186 10.3619 10.3090
angles (deg): 90.00 90.00 90.00
Closest atoms and distances in Å follow each position.
Element x y z (fractional)
1 Br 0.3328 0.6767 0.9471  1 Fe 2.34
2 Br 0.6672 0.3233 0.0529  1 Fe 2.34
3 Br 0.3328 0.8233 0.5529  1 Fe 2.34
4 Br 0.9902 0.4542 0.3136  1 Fe 2.35
5 Br 0.5098 0.5458 0.3136  1 Fe 2.35
6 Br 0.9902 0.0458 0.1864  1 Fe 2.35
7 Br 0.1672 0.3233 0.9471  1 Fe 2.34
8 Br 0.8328 0.6767 0.0529  1 Fe 2.34
9 Br 0.4902 0.4542 0.6864  1 Fe 2.35
10 Br 0.4902 0.0458 0.8136  1 Fe 2.35
11 Br 0.6672 0.1767 0.4471  1 Fe 2.34
12 Br 0.5098 0.9542 0.1864  1 Fe 2.35
13 Br 0.1672 0.1767 0.5529  1 Fe 2.34
14 Br 0.0098 0.5458 0.6864  1 Fe 2.35
15 Br 0.0098 0.9542 0.8136  1 Fe 2.35
16 Br 0.8328 0.8233 0.4471  1 Fe 2.34
17 K 0.6751 0.7500 0.7500  8 Br 3.40-3.44
18 K 0.3249 0.2500 0.2500  8 Br 3.40-3.44
19 K 0.1751 0.7500 0.2500  8 Br 3.40-3.44
20 K 0.8249 0.2500 0.7500  8 Br 3.40-3.44
21 Fe 0.2500 0.0000 0.6808  4 Br 2.34-2.35
22 Fe 0.7500 0.0000 0.3192  4 Br 2.34-2.35
23 Fe 0.7500 0.5000 0.1808  4 Br 2.34-2.35
24 Fe 0.2500 0.5000 0.8192  4 Br 2.34-2.35

magnetization	0.8333	μB per atom
space group	Pnna (52)
energy of formation from the pure elements	-1.19	eV per atom

***

Entry 2:
FeSeBr7: optimized geometry, r²SCAN.

a b c (Å): 6.5982 6.7330 14.7052
angles (deg): 77.99 90.00 90.00
Closest atoms and distances in Å follow each position.
Element x y z (fractional)
1 Br 0.3745 0.5236 0.7800  1 Fe 2.36
2 Br 0.6255 0.5236 0.2800  1 Fe 2.36
3 Br 0.3823 0.1159 0.6405  1 Fe 2.35
4 Br 0.1210 0.2763 0.4073  1 Se 2.34
5 Br 0.6177 0.1159 0.1405  1 Fe 2.35
6 Br 0.8852 0.8930 0.7674  1 Se 2.34
7 Br 0.3567 0.6669 0.5121  1 Fe 2.34
8 Br 0.1494 0.4695 0.1360  1 Fe 2.34
9 Br 0.1148 0.8930 0.2674  1 Se 2.34
10 Br 0.8790 0.2763 0.9073  1 Se 2.34
11 Br 0.6433 0.6669 0.0121  1 Fe 2.34
12 Br 0.6864 0.9574 0.4067  1 Se 2.36
13 Br 0.8506 0.4695 0.6360  1 Fe 2.34
14 Br 0.3136 0.9574 0.9067  1 Se 2.36
15 Fe 0.5027 0.4462 0.1408  4 Br 2.34-2.36
16 Fe 0.4973 0.4462 0.6408  4 Br 2.34-2.36
17 Se 0.9146 0.1545 0.3019  3 Br 2.34-2.36
18 Se 0.0854 0.1545 0.8019  3 Br 2.34-2.36

magnetization	0.5556	μB per atom
space group	Pc (7)
energy of formation from the pure elements	-0.42	eV per atom

***

Entry 3:
KGaBr4: optimized geometry, r²SCAN.

a b c (Å): 13.2222 13.2222 13.2222
angles (deg): 115.19 115.19 115.19
Closest atoms and distances in Å follow each position.
Element x y z (fractional)
1 Br 0.6336 0.0205 0.5592  1 Ga 2.35
2 Br 0.6250 0.4698 0.4098  1 Ga 2.34
3 Br 0.8598 0.4880 0.8014  1 Ga 2.34
4 Br 0.4698 0.4098 0.6250  1 Ga 2.34
5 Br 0.2841 0.8289 0.5785  1 Ga 2.35
6 Br 0.8014 0.8598 0.4880  1 Ga 2.34
7 Br 0.1336 0.0592 0.5205  1 Ga 2.35
8 Br 0.1250 0.9098 0.9698  1 Ga 2.34
9 Br 0.4098 0.6250 0.4698  1 Ga 2.34
10 Br 0.9880 0.3598 0.3014  1 Ga 2.34
11 Br 0.0592 0.5205 0.1336  1 Ga 2.35
12 Br 0.0205 0.5592 0.6336  1 Ga 2.35
13 Br 0.5592 0.6336 0.0205  1 Ga 2.35
14 Br 0.3014 0.9880 0.3598  1 Ga 2.34
15 Br 0.0785 0.3289 0.7841  1 Ga 2.35
16 Br 0.4880 0.8014 0.8598  1 Ga 2.34
17 Br 0.9098 0.9698 0.1250  1 Ga 2.34
18 Br 0.3598 0.3014 0.9880  1 Ga 2.34
19 Br 0.5785 0.2841 0.8289  1 Ga 2.35
20 Br 0.7841 0.0785 0.3289  1 Ga 2.35
21 Br 0.3289 0.7841 0.0785  1 Ga 2.35
22 Br 0.9698 0.1250 0.9098  1 Ga 2.34
23 Br 0.8289 0.5785 0.2841  1 Ga 2.35
24 Br 0.5205 0.1336 0.0592  1 Ga 2.35
25 Ga 0.0842 0.6869 0.8724  4 Br 2.34-2.35
26 Ga 0.6869 0.8724 0.0842  4 Br 2.34-2.35
27 Ga 0.3724 0.1869 0.5842  4 Br 2.34-2.35
28 Ga 0.1869 0.5842 0.3724  4 Br 2.34-2.35
29 Ga 0.8724 0.0842 0.6869  4 Br 2.34-2.35
30 Ga 0.5842 0.3724 0.1869  4 Br 2.34-2.35
31 K 0.8824 0.6939 0.0992  7 Br 3.32-3.62
32 K 0.3824 0.5992 0.1939  7 Br 3.32-3.62
33 K 0.1939 0.3824 0.5992  7 Br 3.32-3.62
34 K 0.6939 0.0992 0.8824  7 Br 3.32-3.62
35 K 0.5992 0.1939 0.3824  7 Br 3.32-3.62
36 K 0.0992 0.8824 0.6939  7 Br 3.32-3.62

magnetization	0.0000	μB per atom
space group	R3c (161)
energy of formation from the pure elements	-1.37	eV per atom

***

Entry 4:
K2NaGaBr6: optimized geometry, r²SCAN.

a b c (Å): 7.5912 7.5912 7.5912
angles (deg): 60.00 60.00 60.00
Closest atoms and distances in Å follow each position.
Element x y z (fractional)
1 Ga 0.0000 0.0000 0.0000  6 Br 2.54
2 Br 0.7638 0.2362 0.7638  1 Ga 2.54, 1 Na 2.83
3 Br 0.7638 0.2362 0.2362  1 Ga 2.54, 1 Na 2.83
4 Br 0.7638 0.7638 0.2362  1 Ga 2.54, 1 Na 2.83
5 Br 0.2362 0.7638 0.2362  1 Ga 2.54, 1 Na 2.83
6 Br 0.2362 0.2362 0.7638  1 Ga 2.54, 1 Na 2.83
7 Br 0.2362 0.7638 0.7638  1 Ga 2.54, 1 Na 2.83
8 Na 0.5000 0.5000 0.5000  6 Br 2.83
9 K 0.7500 0.7500 0.7500  12 Br 3.80
10 K 0.2500 0.2500 0.2500  12 Br 3.80

magnetization	0.0000	μB per atom
space group	Fm-3m (225)
energy of formation from the pure elements	-1.48	eV per atom

***

Entry 5:
LiGaBr3: optimized geometry, r²SCAN.

a b c (Å): 6.5904 7.9866 10.4368
angles (deg): 90.00 90.00 93.49
Closest atoms and distances in Å follow each position.
Element x y z (fractional)
1 Br 0.1727 0.1904 0.5686  1 Ga 2.41
2 Br 0.6634 0.3149 0.0690  1 Ga 2.40, 1 Li 2.69
3 Br 0.6671 0.0680 0.7500  1 Ga 2.40
4 Br 0.3329 0.9320 0.2500  1 Ga 2.40
5 Br 0.8675 0.5392 0.7500  1 Ga 2.40
6 Br 0.1727 0.1904 0.9314  1 Ga 2.41
7 Br 0.8273 0.8096 0.0686  1 Ga 2.41
8 Br 0.3366 0.6851 0.9310  1 Ga 2.40, 1 Li 2.69
9 Br 0.8273 0.8096 0.4314  1 Ga 2.41
10 Br 0.6634 0.3149 0.4310  1 Ga 2.40, 1 Li 2.69
11 Br 0.3366 0.6851 0.5690  1 Ga 2.40, 1 Li 2.69
12 Br 0.1325 0.4608 0.2500  1 Ga 2.40
13 Li 0.5000 0.0000 0.0000  6 Br 2.77-2.87
14 Li 0.5000 0.0000 0.5000  6 Br 2.77-2.87
15 Li 0.0000 0.5000 0.5000  6 Br 2.69-2.87
16 Li 0.0000 0.5000 0.0000  6 Br 2.69-2.87
17 Ga 0.9726 0.9608 0.2500  3 Br 2.40-2.41, 1 Ga 2.40
18 Ga 0.8654 0.2429 0.2500  3 Br 2.40, 1 Ga 2.40
19 Ga 0.0274 0.0392 0.7500  3 Br 2.40-2.41, 1 Ga 2.40
20 Ga 0.1346 0.7571 0.7500  3 Br 2.40, 1 Ga 2.40

magnetization	0.0000	μB per atom
space group	P2_1/m (11)
energy of formation from the pure elements	-1.25	eV per atom

***

Entry 6:
Li4Ga3Si3BrO12: optimized geometry, r²SCAN.

a b c (Å): 8.5544 8.5544 8.5544
angles (deg): 90.00 90.00 90.00
Closest atoms and distances in Å follow each position.
Element x y z (fractional)
1 Ga 0.5000 0.0000 0.7500  4 O 1.84
2 Ga 0.0000 0.2500 0.5000  4 O 1.84
3 Ga 0.7500 0.5000 0.0000  4 O 1.84
4 Ga 0.2500 0.5000 0.0000  4 O 1.84
5 Ga 0.0000 0.7500 0.5000  4 O 1.84
6 Ga 0.5000 0.0000 0.2500  4 O 1.84
7 O 0.8729 0.4026 0.8536  1 Si 1.63
8 O 0.6464 0.0974 0.3729  1 Si 1.63
9 O 0.1271 0.4026 0.1464  1 Si 1.63
10 O 0.1464 0.1271 0.4026  1 Si 1.63
11 O 0.8536 0.8729 0.4026  1 Si 1.63
12 O 0.9026 0.3729 0.3536  1 Si 1.63
13 O 0.6271 0.6464 0.9026  1 Si 1.63
14 O 0.9026 0.6271 0.6464  1 Si 1.63
15 O 0.6271 0.3536 0.0974  1 Si 1.63
16 O 0.8536 0.1271 0.5974  1 Si 1.63
17 O 0.6464 0.9026 0.6271  1 Si 1.63
18 O 0.5974 0.1464 0.8729  1 Si 1.63
19 O 0.8729 0.5974 0.1464  1 Si 1.63
20 O 0.3729 0.6464 0.0974  1 Si 1.63
21 O 0.3536 0.0974 0.6271  1 Si 1.63
22 O 0.4026 0.8536 0.8729  1 Si 1.63
23 O 0.1271 0.5974 0.8536  1 Si 1.63
24 O 0.0974 0.3729 0.6464  1 Si 1.63
25 O 0.0974 0.6271 0.3536  1 Si 1.63
26 O 0.4026 0.1464 0.1271  1 Si 1.63
27 O 0.3536 0.9026 0.3729  1 Si 1.63
28 O 0.5974 0.8536 0.1271  1 Si 1.63
29 O 0.1464 0.8729 0.5974  1 Si 1.63
30 O 0.3729 0.3536 0.9026  1 Si 1.63
31 Li 0.1787 0.1787 0.1787  3 O 1.98
32 Li 0.3213 0.6787 0.3213  3 O 1.98
33 Li 0.8213 0.8213 0.1787  3 O 1.98
34 Li 0.1787 0.8213 0.8213  3 O 1.98
35 Li 0.6787 0.6787 0.6787  3 O 1.98
36 Li 0.6787 0.3213 0.3213  3 O 1.98
37 Li 0.8213 0.1787 0.8213  3 O 1.98
38 Li 0.3213 0.3213 0.6787  3 O 1.98
39 Si 0.7500 0.0000 0.5000  4 O 1.63
40 Si 0.5000 0.7500 0.0000  4 O 1.63
41 Si 0.5000 0.2500 0.0000  4 O 1.63
42 Si 0.0000 0.5000 0.7500  4 O 1.63
43 Si 0.2500 0.0000 0.5000  4 O 1.63
44 Si 0.0000 0.5000 0.2500  4 O 1.63
45 Br 0.5000 0.5000 0.5000  4 Li 2.65
46 Br 0.0000 0.0000 0.0000  4 Li 2.65

magnetization	0.0000	μB per atom
space group	P-43n (218)
energy of formation from the pure elements	-2.54	eV per atom

***

Entry 7:
GaSeBr7: optimized geometry, r²SCAN.

a b c (Å): 6.5803 6.7195 14.8982
angles (deg): 102.64 90.00 90.00
Closest atoms and distances in Å follow each position.
Element x y z (fractional)
1 Br 0.1218 0.9909 0.0011  1 Ga 2.35
2 Br 0.6121 0.8256 0.2679  1 Se 2.34
3 Br 0.1485 0.4406 0.8732  1 Ga 2.34
4 Br 0.8782 0.9909 0.5011  1 Ga 2.35
5 Br 0.3800 0.2122 0.6326  1 Se 2.34
6 Br 0.1828 0.1523 0.2657  1 Se 2.35
7 Br 0.6514 0.6322 0.9941  1 Ga 2.33
8 Br 0.8515 0.4406 0.3732  1 Ga 2.34
9 Br 0.6200 0.2122 0.1326  1 Se 2.34
10 Br 0.3879 0.8256 0.7679  1 Se 2.34
11 Br 0.8762 0.5811 0.6383  1 Ga 2.36
12 Br 0.1238 0.5811 0.1383  1 Ga 2.36
13 Br 0.8172 0.1523 0.7657  1 Se 2.35
14 Br 0.3486 0.6322 0.4941  1 Ga 2.33
15 Ga 0.9958 0.6607 0.5011  4 Br 2.33-2.36
16 Ga 0.0042 0.6607 0.0011  4 Br 2.33-2.36
17 Se 0.4125 0.9516 0.1629  3 Br 2.34-2.35
18 Se 0.5875 0.9516 0.6629  3 Br 2.34-2.35

magnetization	0.0000	μB per atom
space group	Pc (7)
energy of formation from the pure elements	-0.54	eV per atom

***

Entry 8:
Ga2Te2Br7: optimized geometry, r²SCAN.

a b c (Å): 11.1555 10.2553 14.1877
angles (deg): 81.38 90.00 90.00
Closest atoms and distances in Å follow each position.
Element x y z (fractional)
1 Br 0.3624 0.9889 0.1148  1 Ga 2.30
2 Br 0.1376 0.9889 0.6148  1 Ga 2.30
3 Br 0.1753 0.3863 0.0187  1 Ga 2.29
4 Br 0.3247 0.3863 0.5187  1 Ga 2.29
5 Br 0.2545 0.2556 0.7845  1 Ga 2.30
6 Br 0.6817 0.1271 0.1513  1 Ga 2.34
7 Br 0.6189 0.2799 0.3781  1 Ga 2.31
8 Br 0.8247 0.6137 0.9813  1 Ga 2.29
9 Br 0.8811 0.2799 0.8781  1 Ga 2.31
10 Br 0.6376 0.0111 0.8852  1 Ga 2.30
11 Br 0.9722 0.9317 0.8679  2 Ga 2.46-2.48
12 Br 0.5683 0.3840 0.7109  1 Ga 2.36
13 Br 0.7455 0.7444 0.2155  1 Ga 2.30
14 Br 0.0683 0.6160 0.7891  1 Ga 2.36
15 Br 0.5278 0.9317 0.3679  2 Ga 2.46-2.48
16 Br 0.4722 0.0683 0.6321  2 Ga 2.46-2.48
17 Br 0.0278 0.0683 0.1321  2 Ga 2.46-2.48
18 Br 0.7545 0.7444 0.7155  1 Ga 2.30
19 Br 0.4317 0.6160 0.2891  1 Ga 2.36
20 Br 0.3183 0.8729 0.8487  1 Ga 2.34
21 Br 0.2455 0.2556 0.2845  1 Ga 2.30
22 Br 0.8624 0.0111 0.3852  1 Ga 2.30
23 Br 0.1189 0.7201 0.1219  1 Ga 2.31
24 Br 0.3811 0.7201 0.6219  1 Ga 2.31
25 Br 0.6753 0.6137 0.4813  1 Ga 2.29
26 Br 0.9317 0.3840 0.2109  1 Ga 2.36
27 Br 0.1817 0.8729 0.3487  1 Ga 2.34
28 Br 0.8183 0.1271 0.6513  1 Ga 2.34
29 Ga 0.6072 0.7165 0.3369  4 Br 2.29-2.48
30 Ga 0.1854 0.9052 0.1817  4 Br 2.30-2.46
31 Ga 0.3146 0.9052 0.6817  4 Br 2.30-2.46
32 Ga 0.8146 0.0948 0.8183  4 Br 2.30-2.46
33 Ga 0.1072 0.2835 0.1631  4 Br 2.29-2.48
34 Ga 0.6854 0.0948 0.3183  4 Br 2.30-2.46
35 Ga 0.3928 0.2835 0.6631  4 Br 2.29-2.48
36 Ga 0.8928 0.7165 0.8369  4 Br 2.29-2.48
37 Te 0.0357 0.5812 0.3727  2 Te 2.70-2.71
38 Te 0.0571 0.6534 0.5481  2 Te 2.70-2.71
39 Te 0.5357 0.4188 0.1273  2 Te 2.70-2.71
40 Te 0.4429 0.6534 0.0481  2 Te 2.70-2.71
41 Te 0.9643 0.4188 0.6273  2 Te 2.70-2.71
42 Te 0.9429 0.3466 0.4519  2 Te 2.70-2.71
43 Te 0.4643 0.5812 0.8727  2 Te 2.70-2.71
44 Te 0.5571 0.3466 0.9519  2 Te 2.70-2.71

magnetization	0.0000	μB per atom
space group	P2_1/c (14)
energy of formation from the pure elements	-0.76	eV per atom